# 1
Below is Hf3AlN after structural relaxation, with properties calculated at the PBE level.

a b c (Å): 5.939 5.939 8.898
angles (deg): 90.00 90.00 147.53
Sites, in units of the cell vectors:
Hf 0.043 0.957 0.750
Hf 0.372 0.628 0.543
Hf 0.372 0.628 0.957
Hf 0.628 0.372 0.043
Hf 0.628 0.372 0.457
Hf 0.957 0.043 0.250
Al 0.253 0.747 0.250
Al 0.747 0.253 0.750
N 0.000 0.000 0.000
N 0.000 0.000 0.500

Results
**Volume**: 16.847 Å³/atom
**SG**: No. 63
**Total DFT energy (no corrections)**: -93.5 eV per cell
**ρ**: 11.36 g/cm3
**ΔE_f**: -5.17 eV/f.u.



# 2
Below is Na2HfAlP3O12 after structural relaxation, with properties calculated at the PBE level.

a b c (Å): 8.762 8.762 22.271
angles (deg): 90.19 89.81 120.54
Sites, in units of the cell vectors:
Na 0.363 0.362 0.248
Na 0.638 0.637 0.748
Na 0.030 0.695 0.582
Na 0.305 0.970 0.082
Na 0.696 0.029 0.915
Na 0.971 0.304 0.415
Na 0.000 0.999 0.496
Na 0.001 0.000 0.996
Na 0.667 0.332 0.829
Na 0.668 0.333 0.329
Na 0.333 0.666 0.163
Na 0.334 0.667 0.663
Hf 0.002 0.008 0.646
Hf 0.992 0.998 0.146
Hf 0.669 0.342 0.979
Hf 0.658 0.331 0.479
Hf 0.335 0.675 0.313
Hf 0.325 0.665 0.813
Al 0.999 0.993 0.352
Al 0.007 0.001 0.852
Al 0.665 0.326 0.686
Al 0.674 0.335 0.186
Al 0.332 0.660 0.019
Al 0.340 0.668 0.519
P 0.293 0.008 0.250
P 0.717 0.704 0.252
P 0.986 0.283 0.253
P 0.296 0.283 0.752
P 0.992 0.707 0.750
P 0.717 0.014 0.753
P 0.960 0.341 0.583
P 0.384 0.038 0.586
P 0.652 0.617 0.586
P 0.962 0.616 0.086
P 0.659 0.040 0.083
P 0.383 0.348 0.086
P 0.626 0.675 0.917
P 0.050 0.371 0.919
P 0.319 0.950 0.919
P 0.629 0.950 0.419
P 0.325 0.374 0.417
P 0.050 0.681 0.419
O 0.200 0.037 0.304
O 0.830 0.799 0.307
O 0.966 0.175 0.310
O 0.201 0.170 0.807
O 0.963 0.800 0.804
O 0.825 0.034 0.810
O 0.797 0.972 0.697
O 0.183 0.206 0.695
O 0.023 0.816 0.692
O 0.794 0.817 0.195
O 0.028 0.203 0.197
O 0.184 0.977 0.192
O 0.867 0.371 0.637
O 0.497 0.132 0.640
O 0.633 0.508 0.643
O 0.868 0.503 0.140
O 0.629 0.133 0.137
O 0.492 0.367 0.143
O 0.464 0.305 0.031
O 0.850 0.540 0.029
O 0.690 0.149 0.025
O 0.460 0.150 0.529
O 0.695 0.536 0.531
O 0.851 0.310 0.525
O 0.534 0.704 0.971
O 0.164 0.465 0.974
O 0.300 0.841 0.976
O 0.535 0.836 0.474
O 0.296 0.466 0.471
O 0.159 0.700 0.476
O 0.131 0.638 0.364
O 0.516 0.873 0.362
O 0.356 0.482 0.358
O 0.127 0.484 0.862
O 0.362 0.869 0.864
O 0.518 0.644 0.858
O 0.031 0.843 0.409
O 0.816 0.975 0.411
O 0.157 0.189 0.409
O 0.025 0.184 0.911
O 0.157 0.969 0.909
O 0.811 0.843 0.909
O 0.980 0.177 0.589
O 0.193 0.011 0.590
O 0.825 0.803 0.590
O 0.989 0.807 0.090
O 0.823 0.020 0.089
O 0.197 0.175 0.090
O 0.698 0.176 0.742
O 0.482 0.308 0.744
O 0.823 0.522 0.742
O 0.692 0.518 0.244
O 0.824 0.302 0.242
O 0.478 0.177 0.242
O 0.646 0.510 0.922
O 0.859 0.344 0.923
O 0.491 0.136 0.923
O 0.656 0.141 0.423
O 0.490 0.354 0.422
O 0.864 0.509 0.423
O 0.364 0.510 0.076
O 0.149 0.642 0.077
O 0.490 0.855 0.076
O 0.358 0.851 0.577
O 0.490 0.636 0.576
O 0.145 0.510 0.576
O 0.313 0.844 0.255
O 0.526 0.677 0.257
O 0.158 0.470 0.257
O 0.323 0.474 0.757
O 0.156 0.687 0.755
O 0.530 0.842 0.757

Results
**Volume**: 12.918 Å³/atom
**Total DFT energy (no corrections)**: -848.3 eV per cell
**ρ**: 3.63 g/cm3
**Total magnetization**: 0.000 μB/atom
**ΔE_f**: -57.66 eV/f.u.



# 3
Below is NaHf2Al2P3S3O24 after structural relaxation, with properties calculated at the PBE level.

a b c (Å): 8.607 8.607 22.273
angles (deg): 89.51 89.67 60.08
Sites, in units of the cell vectors:
Na 0.000 0.000 0.000
Na 0.005 0.977 0.496
Na 0.664 0.649 0.157
Hf 0.339 0.330 0.476
Hf 0.342 0.320 0.186
Hf 0.348 0.308 0.976
Hf 0.348 0.320 0.683
Hf 0.677 0.656 0.808
Hf 0.678 0.650 0.305
Al 0.001 0.995 0.855
Al 0.009 0.981 0.641
Al 0.014 0.999 0.143
Al 0.016 0.976 0.348
Al 0.673 0.668 0.519
Al 0.679 0.651 0.016
P 0.010 0.257 0.247
P 0.279 0.716 0.245
P 0.345 0.626 0.579
P 0.346 0.013 0.080
P 0.644 0.020 0.580
P 0.645 0.321 0.080
P 0.690 0.932 0.915
P 0.951 0.671 0.415
P 0.956 0.362 0.915
S 0.011 0.714 0.747
S 0.038 0.322 0.581
S 0.040 0.623 0.080
S 0.276 0.990 0.746
S 0.378 0.667 0.914
S 0.379 0.939 0.415
S 0.689 0.359 0.415
S 0.734 0.989 0.246
S 0.735 0.260 0.746
O 0.020 0.801 0.088
O 0.022 0.161 0.591
O 0.026 0.154 0.305
O 0.035 0.794 0.801
O 0.124 0.354 0.634
O 0.124 0.506 0.133
O 0.138 0.504 0.424
O 0.139 0.348 0.923
O 0.156 0.541 0.026
O 0.160 0.281 0.528
O 0.169 0.532 0.740
O 0.171 0.013 0.801
O 0.175 0.280 0.240
O 0.176 0.792 0.304
O 0.178 0.996 0.088
O 0.179 0.811 0.590
O 0.194 0.827 0.189
O 0.194 0.966 0.692
O 0.199 0.959 0.408
O 0.200 0.828 0.904
O 0.296 0.151 0.740
O 0.300 0.538 0.526
O 0.305 0.526 0.238
O 0.309 0.139 0.025
O 0.356 0.509 0.921
O 0.361 0.118 0.423
O 0.376 0.501 0.635
O 0.377 0.105 0.135
O 0.456 0.829 0.752
O 0.462 0.696 0.966
O 0.465 0.824 0.468
O 0.470 0.696 0.251
O 0.487 0.634 0.858
O 0.487 0.862 0.360
O 0.512 0.636 0.566
O 0.514 0.831 0.069
O 0.519 0.110 0.635
O 0.522 0.355 0.135
O 0.526 0.120 0.921
O 0.527 0.340 0.421
O 0.553 0.148 0.526
O 0.553 0.291 0.025
O 0.554 0.148 0.242
O 0.554 0.278 0.741
O 0.653 0.470 0.360
O 0.653 0.854 0.857
O 0.659 0.839 0.570
O 0.663 0.488 0.070
O 0.710 0.828 0.250
O 0.712 0.442 0.751
O 0.712 0.447 0.468
O 0.714 0.813 0.969
O 0.813 0.008 0.302
O 0.814 0.154 0.801
O 0.827 0.006 0.590
O 0.828 0.150 0.089
O 0.833 0.454 0.969
O 0.834 0.694 0.470
O 0.840 0.962 0.192
O 0.842 0.179 0.692
O 0.842 0.451 0.252
O 0.848 0.180 0.408
O 0.849 0.694 0.751
O 0.859 0.949 0.905
O 0.863 0.637 0.072
O 0.864 0.479 0.570
O 0.869 0.639 0.358
O 0.872 0.474 0.857
O 0.972 0.838 0.406
O 0.975 0.182 0.191
O 0.978 0.174 0.906
O 0.985 0.820 0.692

Results
**Volume**: 13.619 Å³/atom
**SG**: No. 1
**Total DFT energy (no corrections)**: -771.2 eV per cell
**ρ**: 3.51 g/cm3
**Total magnetization**: 0.000 μB/atom
**ΔE_f**: -97.43 eV/f.u.



# 4
Below is Na3Hf2Al2P5SO24 after structural relaxation, with properties calculated at the PBE level.

a b c (Å): 8.632 8.642 22.337
angles (deg): 89.86 89.99 60.23
Sites, in units of the cell vectors:
Na 0.000 0.000 0.000
Na 0.001 0.999 0.499
Na 0.006 0.626 0.248
Na 0.330 0.328 0.829
Na 0.339 0.683 0.080
Na 0.349 0.318 0.330
Na 0.663 0.660 0.664
Na 0.673 0.655 0.163
Na 0.977 0.684 0.580
Hf 0.001 0.991 0.352
Hf 0.020 0.983 0.852
Hf 0.334 0.327 0.976
Hf 0.337 0.321 0.682
Hf 0.341 0.325 0.477
Hf 0.345 0.315 0.181
Al 0.003 0.993 0.145
Al 0.017 0.980 0.644
Al 0.675 0.645 0.308
Al 0.675 0.655 0.809
Al 0.678 0.646 0.016
Al 0.678 0.647 0.516
P 0.032 0.626 0.081
P 0.038 0.316 0.579
P 0.303 0.705 0.245
P 0.305 0.975 0.745
P 0.342 0.018 0.079
P 0.345 0.623 0.580
P 0.403 0.651 0.913
P 0.641 0.020 0.580
P 0.646 0.317 0.079
P 0.673 0.381 0.413
P 0.719 0.981 0.245
P 0.946 0.382 0.912
P 0.949 0.653 0.413
P 0.996 0.703 0.745
P 0.998 0.279 0.245
S 0.399 0.931 0.413
S 0.672 0.933 0.913
S 0.723 0.280 0.746
O 0.021 0.151 0.591
O 0.026 0.806 0.089
O 0.027 0.790 0.801
O 0.035 0.166 0.302
O 0.117 0.508 0.137
O 0.124 0.361 0.633
O 0.139 0.354 0.917
O 0.139 0.484 0.417
O 0.160 0.283 0.524
O 0.163 0.308 0.240
O 0.164 0.537 0.027
O 0.166 0.517 0.740
O 0.172 0.803 0.589
O 0.175 0.998 0.088
O 0.180 0.785 0.300
O 0.187 0.015 0.802
O 0.210 0.817 0.910
O 0.210 0.954 0.690
O 0.214 0.814 0.188
O 0.216 0.953 0.409
O 0.300 0.538 0.526
O 0.307 0.141 0.024
O 0.317 0.517 0.239
O 0.326 0.144 0.739
O 0.376 0.104 0.134
O 0.376 0.114 0.417
O 0.378 0.485 0.917
O 0.378 0.502 0.635
O 0.478 0.828 0.468
O 0.481 0.678 0.971
O 0.487 0.685 0.255
O 0.489 0.809 0.754
O 0.501 0.852 0.358
O 0.506 0.832 0.070
O 0.507 0.354 0.418
O 0.509 0.642 0.569
O 0.510 0.633 0.857
O 0.512 0.115 0.917
O 0.518 0.360 0.133
O 0.520 0.107 0.635
O 0.533 0.148 0.240
O 0.541 0.299 0.740
O 0.554 0.142 0.524
O 0.555 0.285 0.024
O 0.647 0.489 0.356
O 0.649 0.854 0.858
O 0.655 0.489 0.071
O 0.663 0.834 0.570
O 0.694 0.466 0.470
O 0.697 0.829 0.968
O 0.703 0.812 0.254
O 0.704 0.458 0.752
O 0.800 0.015 0.302
O 0.800 0.171 0.801
O 0.827 0.151 0.089
O 0.828 0.999 0.589
O 0.830 0.682 0.754
O 0.831 0.194 0.692
O 0.832 0.956 0.909
O 0.836 0.469 0.253
O 0.841 0.191 0.410
O 0.841 0.466 0.969
O 0.841 0.948 0.191
O 0.842 0.678 0.470
O 0.851 0.642 0.069
O 0.858 0.488 0.571
O 0.864 0.491 0.855
O 0.864 0.634 0.355
O 0.967 0.192 0.908
O 0.973 0.815 0.688
O 0.975 0.188 0.190
O 0.976 0.818 0.410

Results
**Volume**: 13.031 Å³/atom
**SG**: No. 1
**Total DFT energy (no corrections)**: -824.0 eV per cell
**ρ**: 3.62 g/cm3
**Total magnetization**: 0.000 μB/atom
**ΔE_f**: -109.84 eV/f.u.